Computed, not measured: a relaxed structure of BiAs2O7 at the GGA-PBE level of DFT.

Lattice parameters (Å, degrees): 9.916 7.598 10.187 70.57 90.00 90.00
Atoms (fractional coordinates):
O: 0.331 0.251 0.911
O: 0.924 0.627 0.228
O: 0.232 0.621 0.282
O: 0.831 0.749 0.589
O: 0.320 0.378 0.616
O: 0.268 0.621 0.782
O: 0.692 0.137 0.041
O: 0.808 0.137 0.541
O: 0.576 0.627 0.728
O: 0.876 0.980 0.909
O: 0.308 0.863 0.959
O: 0.424 0.373 0.272
O: 0.602 0.994 0.831
O: 0.669 0.749 0.089
O: 0.732 0.379 0.218
O: 0.076 0.373 0.772
O: 0.192 0.863 0.459
O: 0.768 0.379 0.718
O: 0.624 0.980 0.409
O: 0.398 0.006 0.169
O: 0.102 0.006 0.669
O: 0.680 0.622 0.384
O: 0.169 0.251 0.411
O: 0.180 0.378 0.116
O: 0.898 0.994 0.331
O: 0.820 0.622 0.884
O: 0.376 0.020 0.591
O: 0.124 0.020 0.091
As: 0.790 0.967 0.467
As: 0.751 0.590 0.245
As: 0.249 0.410 0.755
As: 0.290 0.033 0.033
As: 0.749 0.590 0.745
As: 0.210 0.033 0.533
As: 0.710 0.967 0.967
As: 0.251 0.410 0.255
Bi: 0.566 0.187 0.210
Bi: 0.066 0.813 0.290
Bi: 0.434 0.813 0.790
Bi: 0.934 0.187 0.710

For the total DFT energy (no corrections), the calculation gives -0.4235 Ry/atom. Its space-group type is P2_1/c (14).